1.
Material: MgZnRe2O8
Method: DFT, PBE
State: relaxed

- V (Å³ per cell) = 169
- offset from the most stable computed form (meV/atom) = 29
- space group = P-3
- corrected total energy (MP2020 scheme) (eV per cell) = -91.247
- formation enthalpy at 0 K (kcal/mol of atoms) = -46.0
- total moment (μB/f.u.) = 2.00

The structure in CIF format:
```
data_MgZnRe2O8
_cell_length_a 5.820
_cell_length_b 5.820
_cell_length_c 5.777
_cell_angle_alpha 90.00
_cell_angle_beta 90.00
_cell_angle_gamma 120.00
_symmetry_space_group_name_H-M 'P 1'
_symmetry_Int_Tables_number 1
_symmetry_space_group_name_Hall 'P 1'
loop_
_atom_site_label
_atom_site_fract_x
_atom_site_fract_y
_atom_site_fract_z
Mg1 0.000 0.000 0.000
Zn1 0.000 0.000 0.500
Re1 0.333 0.667 0.812
Re2 0.667 0.333 0.188
O1 0.155 0.312 0.745
O2 0.157 0.845 0.745
O3 0.312 0.157 0.255
O4 0.333 0.667 0.115
O5 0.667 0.333 0.885
O6 0.688 0.843 0.745
O7 0.843 0.155 0.255
O8 0.845 0.688 0.255
```

=====

2.
Material: RbCu3GeSe4
Method: DFT, PBE
State: relaxed

- V (Å³ per cell) = 247
- space group = P-43m
- corrected total energy (MP2020 scheme) (eV per cell) = -35.734
- formation enthalpy at 0 K (kcal/mol of atoms) = -9.9
- total moment (μB/f.u.) = 0.00

The structure in CIF format:
```
data_RbCu3GeSe4
_cell_length_a 6.276
_cell_length_b 6.276
_cell_length_c 6.276
_cell_angle_alpha 90.00
_cell_angle_beta 90.00
_cell_angle_gamma 90.00
_symmetry_space_group_name_H-M 'P 1'
_symmetry_Int_Tables_number 1
_symmetry_space_group_name_Hall 'P 1'
loop_
_atom_site_label
_atom_site_fract_x
_atom_site_fract_y
_atom_site_fract_z
Rb1 0.000 0.000 0.000
Cu1 0.000 0.500 0.500
Cu2 0.500 0.000 0.500
Cu3 0.500 0.500 0.000
Ge1 0.500 0.500 0.500
Se1 0.285 0.285 0.715
Se2 0.285 0.715 0.285
Se3 0.715 0.285 0.285
Se4 0.715 0.715 0.715
```

=====

3.
Material: DyBRh3
Method: DFT, PBE
State: relaxed

- V (Å³ per cell) = 74
- space group = Pm-3m
- formation enthalpy at 0 K (kcal/mol of atoms) = -18.4

The structure in CIF format:
```
data_DyBRh3
_cell_length_a 4.207
_cell_length_b 4.207
_cell_length_c 4.207
_cell_angle_alpha 90.00
_cell_angle_beta 90.00
_cell_angle_gamma 90.00
_symmetry_space_group_name_H-M 'P 1'
_symmetry_Int_Tables_number 1
_symmetry_space_group_name_Hall 'P 1'
loop_
_atom_site_label
_atom_site_fract_x
_atom_site_fract_y
_atom_site_fract_z
Dy1 0.000 0.000 0.000
B1 0.500 0.500 0.500
Rh1 0.000 0.500 0.500
Rh2 0.500 0.000 0.500
Rh3 0.500 0.500 0.000
```

=====

4.
Material: LiFe2N2
Method: DFT, PBE
State: relaxed

- V (Å³ per cell) = 176
- space group = P2_1/c
- corrected total energy (MP2020 scheme) (eV per cell) = -146.763
- formation enthalpy at 0 K (kcal/mol of atoms) = -5.4
- total moment (μB/f.u.) = 0.64

The structure in CIF format:
```
data_LiFe2N2
_cell_length_a 4.962
_cell_length_b 5.968
_cell_length_c 5.949
_cell_angle_alpha 90.00
_cell_angle_beta 92.70
_cell_angle_gamma 90.00
_symmetry_space_group_name_H-M 'P 1'
_symmetry_Int_Tables_number 1
_symmetry_space_group_name_Hall 'P 1'
loop_
_atom_site_label
_atom_site_fract_x
_atom_site_fract_y
_atom_site_fract_z
Li1 0.132 0.036 0.361
Li2 0.132 0.464 0.861
Li3 0.868 0.536 0.139
Li4 0.868 0.964 0.639
Fe1 0.182 0.633 0.476
Fe2 0.182 0.867 0.976
Fe3 0.399 0.163 0.765
Fe4 0.399 0.337 0.265
Fe5 0.601 0.663 0.735
Fe6 0.601 0.837 0.235
Fe7 0.818 0.133 0.024
Fe8 0.818 0.367 0.524
N1 0.201 0.179 0.036
N2 0.201 0.321 0.536
N3 0.301 0.646 0.185
N4 0.301 0.854 0.685
N5 0.699 0.146 0.315
N6 0.699 0.354 0.815
N7 0.799 0.679 0.464
N8 0.799 0.821 0.964
```